Entry 1:
Compound: TaCo3
Source: the Materials Project database
Functional: meta-GGA r2SCAN
Structure: relaxed

```
TaCo3
1.0
-6.539 -1.992 0.592
-3.430 -4.766 3.550
-4.745 -0.033 4.956
Ta Co
3 9
Cartesian
-3.216 -1.484 1.989
-11.497 -5.306 7.109
0.000 0.000 0.000
-8.265 -4.832 4.157
-5.828 -4.191 4.278
-7.294 -2.883 2.883
-5.642 -1.012 2.774
-6.448 -1.959 4.941
-7.419 -3.908 6.215
-4.984 -3.379 2.071
-8.885 -2.600 4.820
-4.087 -2.399 4.253
```

Results
SG: No. 166
Energy of formation from the pure elements, eV/atom: -0.0525
E, eV for the cell shown: -265.5


Entry 2:
Compound: TaCo2Te2
Source: the Materials Project database
Functional: meta-GGA r2SCAN
Structure: relaxed

```
TaCo2Te2
1.0
6.504 0.000 0.000
0.000 6.540 0.000
0.000 0.000 18.682
Ta Te Co
8 16 16
Cartesian
2.273 4.905 13.547
4.231 1.635 5.135
2.274 1.635 13.752
5.527 4.905 14.271
0.979 4.905 4.206
0.978 1.635 4.411
5.525 1.635 14.476
4.230 4.905 4.930
2.267 1.635 16.538
0.974 4.905 7.562
5.525 3.281 16.807
4.226 1.635 1.779
4.237 4.905 2.144
5.525 6.528 16.807
5.531 1.635 11.120
0.979 0.011 1.875
4.231 6.528 7.466
5.519 4.905 11.485
0.985 1.635 7.197
2.278 4.905 16.903
4.231 3.281 7.466
0.979 3.258 1.875
2.273 3.258 11.216
2.273 0.011 11.216
5.499 3.019 3.441
2.961 0.248 3.444
3.543 3.518 15.238
0.291 3.022 12.785
4.258 0.251 12.782
3.543 6.291 15.238
6.213 3.518 5.897
0.291 0.248 12.785
2.247 6.289 5.900
2.961 3.022 3.444
1.005 6.289 15.241
6.213 6.291 5.897
4.258 3.019 12.782
2.247 3.521 5.900
5.499 0.251 3.441
1.005 3.521 15.241
```

Results
SG: No. 62
Energy of formation from the pure elements, eV/atom: -0.2436
E, eV for the cell shown: -1016.9


Entry 3:
Compound: Tb4Co3
Source: the Materials Project database
Functional: meta-GGA r2SCAN
Structure: relaxed

```
Tb4Co3
1.0
-3.646 -3.411 10.154
-4.170 -4.739 -9.391
2.919 -2.789 0.111
Co Tb
9 12
Cartesian
-0.253 -4.743 -2.464
-4.645 -6.196 3.339
-2.822 -7.374 -0.998
-1.815 -6.380 -2.792
-2.352 -7.038 -4.913
-2.075 -3.565 1.873
1.460 -1.394 0.056
-3.083 -4.560 3.667
-2.546 -3.902 5.788
-2.802 -4.432 -0.939
0.371 -3.980 0.590
-4.456 -8.941 2.862
-4.653 -6.458 -3.173
-0.802 -4.924 7.717
-2.343 -4.091 -4.431
-2.555 -6.849 5.306
-2.096 -6.507 1.814
-0.441 -1.998 -1.987
-4.095 -6.015 -6.842
-5.269 -6.960 0.285
-0.245 -4.481 4.048
```

Results
SG: No. 147
Energy of formation from the pure elements, eV/atom: -0.0317
E, eV for the cell shown: -494.5


Entry 4:
Compound: TbCo2
Source: the Materials Project database
Functional: meta-GGA r2SCAN
Structure: relaxed

```
TbCo2
1.0
-0.447 1.653 4.766
-4.448 -0.363 2.393
-0.570 -3.319 3.782
Tb Co
2 4
Cartesian
-4.781 -1.775 9.572
-0.684 -0.254 1.369
-2.509 -1.841 3.088
-0.508 -0.833 4.274
-2.732 -1.014 5.471
-2.447 0.645 3.579
```

Results
SG: No. 166
Energy of formation from the pure elements, eV/atom: -0.1113
E, eV for the cell shown: -116.1


Entry 5:
Compound: TbCo3
Source: the Materials Project database
Functional: meta-GGA r2SCAN
Structure: relaxed

```
TbCo3
1.0
2.182 4.685 -0.795
-1.680 4.135 2.244
5.206 1.528 6.477
Co Tb
9 3
Cartesian
0.661 6.117 3.291
2.855 5.174 3.963
4.242 6.270 5.740
1.468 4.079 2.186
2.552 6.407 1.796
5.499 7.422 7.380
5.048 4.231 4.635
0.210 2.927 0.546
3.158 3.941 6.130
0.000 0.000 0.000
2.624 8.231 4.005
3.086 2.117 3.921
```

Results
SG: No. 2
Energy of formation from the pure elements, eV/atom: -0.1086
E, eV for the cell shown: -214.1


Entry 6:
Compound: Y5Co2Te2
Source: the Materials Project database
Functional: meta-GGA r2SCAN
Structure: relaxed

```
Y5Co2Te2
1.0
7.542 1.744 -1.572
-7.737 1.106 -1.147
-0.130 10.360 10.866
Y Co Te
10 4 4
Cartesian
3.548 8.104 5.379
-7.262 10.217 8.366
6.937 2.993 -0.220
3.517 10.597 7.994
6.904 5.625 2.541
-3.842 2.613 0.153
-3.873 5.106 2.768
-1.773 9.129 6.834
-7.229 7.585 5.606
1.448 4.081 1.313
-1.497 3.958 1.395
1.172 9.252 6.752
-5.147 8.988 6.928
4.822 4.222 1.219
-2.024 11.316 9.143
-1.968 6.924 4.537
1.699 1.895 -0.996
1.644 6.286 3.610
```

Results
SG: No. 63
Energy of formation from the pure elements, eV/atom: -0.7755
E, eV for the cell shown: -371.7


Entry 7:
Compound: Th7Co3
Source: the Materials Project database
Functional: meta-GGA r2SCAN
Structure: relaxed

```
Th7Co3
1.0
-7.384 6.290 0.333
-0.820 -8.676 4.272
2.262 2.377 5.263
Th Co
14 6
Cartesian
-0.576 -0.804 2.415
-4.276 -0.408 2.398
-2.564 -0.545 5.379
-2.865 -3.730 6.947
-6.987 1.901 2.521
-1.087 -6.208 5.075
-5.380 0.780 7.419
-3.975 2.778 0.830
-4.869 6.184 4.759
-5.686 -2.290 5.283
-0.270 2.266 4.552
0.147 -2.854 5.257
-2.900 -3.574 3.209
-3.957 2.603 4.528
-3.527 -1.215 7.882
0.135 -0.149 5.827
-2.207 1.424 2.468
-5.503 4.231 2.617
-0.231 -4.022 7.733
-5.869 0.359 4.523
```

Results
SG: No. 186
Energy of formation from the pure elements, eV/atom: -0.1530
E, eV for the cell shown: -1111.1


Entry 8:
Compound: TiCo2
Source: the Materials Project database
Functional: meta-GGA r2SCAN
Structure: relaxed

```
TiCo2
1.0
0.147 -4.643 0.888
1.505 -2.999 -3.333
4.167 -2.183 0.490
Co Ti
4 2
Cartesian
2.910 -4.912 -0.978
0.826 -3.821 -1.223
2.836 -2.591 -1.422
2.157 -3.413 0.689
0.727 -1.228 -0.244
5.092 -8.597 -1.711
```

Results
SG: No. 227
Energy of formation from the pure elements, eV/atom: -0.2209
E, eV for the cell shown: -80.1


Entry 9:
Compound: Ti2Co
Source: the Materials Project database
Functional: meta-GGA r2SCAN
Structure: relaxed

```
Ti2Co
1.0
-5.583 -5.583 0.000
-5.583 0.000 -5.583
0.000 -5.583 -5.583
Ti Co
16 8
Cartesian
-4.187 -4.187 -0.689
-6.979 -6.979 -10.477
-0.689 -4.187 -4.187
-4.187 -4.187 -7.686
-6.979 -6.979 -3.481
-3.481 -6.979 -6.979
-10.477 -6.979 -6.979
-5.583 -2.792 -2.792
-7.686 -4.187 -4.187
-5.583 -5.583 -5.583
-6.979 -10.477 -6.979
-4.187 -7.686 -4.187
-2.792 -5.583 -2.792
-2.792 -2.792 -5.583
-6.979 -3.481 -6.979
-4.187 -0.689 -4.187
-5.945 -8.012 -5.945
-8.012 -5.945 -5.945
-5.945 -5.945 -8.012
-3.154 -3.154 -3.154
-5.221 -5.221 -3.154
-8.012 -8.012 -8.012
-3.154 -5.221 -5.221
-5.221 -3.154 -5.221
```

Results
SG: No. 227
Energy of formation from the pure elements, eV/atom: -0.2046
E, eV for the cell shown: -317.8


Entry 10:
Compound: TiCo2
Source: the Materials Project database
Functional: meta-GGA r2SCAN
Structure: relaxed

```
TiCo2
1.0
-0.807 4.631 -0.554
-0.443 -2.937 -3.686
-14.830 -2.164 3.507
Ti Co
8 16
Cartesian
-6.016 -0.878 1.423
-5.798 1.363 -0.389
-1.399 -0.204 0.331
-10.282 -1.832 -0.343
-13.432 -1.960 3.177
-8.813 -1.286 2.084
-13.092 -2.242 0.321
-2.989 1.773 -1.053
-2.425 -0.686 -2.202
-4.210 -2.237 -2.295
-0.625 0.847 -2.120
-9.961 0.755 0.596
-11.460 -0.585 1.844
-4.620 0.116 -2.577
-13.656 0.216 1.470
-11.870 1.767 1.563
-1.029 3.163 -2.397
-12.095 0.275 -0.309
-8.443 2.081 -0.643
-7.818 1.234 1.477
-8.040 -0.235 -0.366
-6.119 -1.225 -1.328
-0.404 2.316 -0.277
-3.985 -0.745 -0.423
```

Results
SG: No. 194
Energy of formation from the pure elements, eV/atom: -0.2197
E, eV for the cell shown: -320.5


Entry 11:
Compound: TmCo2
Source: the Materials Project database
Functional: meta-GGA r2SCAN
Structure: relaxed

```
TmCo2
1.0
4.335 0.000 2.503
1.445 4.088 2.504
0.000 0.001 5.006
Tm Co
2 4
Cartesian
5.057 3.577 8.761
0.722 0.511 1.251
2.890 2.044 2.503
0.722 2.044 3.755
2.168 0.001 3.754
2.890 2.044 5.006
```

Results
SG: No. 227
Energy of formation from the pure elements, eV/atom: -0.1962
E, eV for the cell shown: -124.4


Entry 12:
Compound: UCo
Source: the Materials Project database
Functional: meta-GGA r2SCAN
Structure: relaxed

```
UCo
1.0
3.667 2.803 -2.844
1.380 -5.242 0.058
-4.879 0.559 -2.296
Co U
4 4
Cartesian
1.961 0.917 -1.417
0.068 -0.767 -2.071
-2.101 0.538 -1.411
0.239 -2.570 -0.183
0.157 -1.752 -4.734
-0.355 1.873 -2.765
-2.084 -2.304 -1.276
2.618 -1.579 -1.389
```

Results
SG: No. 199
Energy of formation from the pure elements, eV/atom: -0.1535
E, eV for the cell shown: -373.9


Copy entry 5 word for word.
Compound: TbCo3
Source: the Materials Project database
Functional: meta-GGA r2SCAN
Structure: relaxed

```
TbCo3
1.0
2.182 4.685 -0.795
-1.680 4.135 2.244
5.206 1.528 6.477
Co Tb
9 3
Cartesian
0.661 6.117 3.291
2.855 5.174 3.963
4.242 6.270 5.740
1.468 4.079 2.186
2.552 6.407 1.796
5.499 7.422 7.380
5.048 4.231 4.635
0.210 2.927 0.546
3.158 3.941 6.130
0.000 0.000 0.000
2.624 8.231 4.005
3.086 2.117 3.921
```

Results
SG: No. 2
Energy of formation from the pure elements, eV/atom: -0.1086
E, eV for the cell shown: -214.1


Repeat the eighth record exactly.
Compound: TiCo2
Source: the Materials Project database
Functional: meta-GGA r2SCAN
Structure: relaxed

```
TiCo2
1.0
0.147 -4.643 0.888
1.505 -2.999 -3.333
4.167 -2.183 0.490
Co Ti
4 2
Cartesian
2.910 -4.912 -0.978
0.826 -3.821 -1.223
2.836 -2.591 -1.422
2.157 -3.413 0.689
0.727 -1.228 -0.244
5.092 -8.597 -1.711
```

Results
SG: No. 227
Energy of formation from the pure elements, eV/atom: -0.2209
E, eV for the cell shown: -80.1


Q: Which value of energy of formation from the pure elements does entry 5 give?
A: -0.1086 eV/atom